Entry from Materials Project: a relaxed Ca3Cu2Si4O14 crystal (PBE-GGA).

```
46
Lattice="8.4749 -3.8385 0.0000 8.4749 3.8385 0.0000 -5.3568 0.0000 8.6017" Properties=species:S:1:pos:R:3 pbc="T T T"
Ca 4.4573 2.6270 6.4513
Ca 2.2677 0.2494 4.6489
Ca 4.9461 -0.2494 0.3480
Ca 6.6468 0.2494 8.2537
Ca 9.3252 -0.2494 3.9528
Ca 7.1357 -2.6270 2.1504
Cu 7.1357 1.6726 2.1504
Cu 8.4749 0.0000 0.0000
Cu 5.7965 0.0000 4.3008
Cu 4.4573 -1.6726 6.4513
Si 0.9691 2.2061 7.2109
Si 4.4436 2.5837 3.0395
Si 9.8277 2.5837 1.2614
Si 7.9454 2.2061 5.6916
Si 3.6475 -2.2061 2.9101
Si 1.7652 -2.5837 7.3403
Si 7.1493 -2.5837 5.5622
Si 10.6239 -2.2061 1.3907
O 3.7668 2.0552 1.5943
O 1.7792 2.2175 5.8166
O 5.9497 3.0774 2.6728
O 8.3217 3.0774 1.6281
O 2.2944 0.0748 0.8191
O -0.3840 -0.0748 5.1200
O 4.2713 1.6167 4.3363
O 1.4540 1.1604 8.3565
O 4.6432 1.6167 8.5663
O 7.1353 2.2175 7.0860
O 5.9014 0.3437 2.4823
O 10.5046 2.0552 2.7066
O 7.4605 1.1604 4.5460
O 3.2230 -0.3437 6.7832
O 8.3699 0.3437 1.8185
O 4.1325 -1.1604 4.0557
O 1.0884 -2.0552 5.8951
O 5.6915 -0.3437 6.1194
O 4.4577 -2.2175 1.5157
O 6.9497 -1.6167 0.0354
O 10.1389 -1.1604 0.2451
O 7.3216 -1.6167 4.2654
O 11.9770 0.0748 3.4817
O 9.2986 -0.0748 7.7826
O 3.2713 -3.0774 6.9736
O 5.6433 -3.0774 5.9289
O 9.8137 -2.2175 2.7851
O 7.8261 -2.0552 7.0074
```

Calculated total energy: -6.966 eV per atom

Entry from Materials Project: a relaxed CaCuSi2O6 crystal (PBE-GGA).

```
20
Lattice="4.9579 -4.5227 0.0000 4.9579 4.5227 0.0000 -1.4980 0.0000 5.0674" Properties=species:S:1:pos:R:3 pbc="T T T"
Ca 3.8343 2.6775 3.8005
Ca 4.5834 -2.6775 1.2668
Cu 4.5834 0.8525 1.2668
Cu 3.8343 -0.8525 3.8005
Si 0.9525 0.8379 3.9196
Si 1.7015 -0.8379 1.3859
Si 6.7162 0.8379 3.6815
Si 7.4652 -0.8379 1.1478
O 3.0867 2.2685 1.6264
O 1.4693 0.1679 0.0359
O 0.7203 -0.1679 2.5696
O 2.5220 0.8005 4.3603
O 6.0800 2.2685 0.9073
O 3.2710 -0.8005 1.8266
O 5.1467 0.8005 3.2407
O 2.3377 -2.2685 4.1601
O 5.8957 -0.8005 0.7070
O 7.6974 0.1679 2.4978
O 6.9484 -0.1679 5.0314
O 5.3310 -2.2685 3.4410
```

Distance to the lowest polymorph of the same formula: 3 kJ/mol of formula units
Calculated total energy: -7.054 eV per atom

Entry from Materials Project: a relaxed Ca3Cu2Si3O12 crystal (PBE-GGA).

```
80
Lattice="-6.0784 6.0784 6.0784 6.0784 -6.0784 6.0784 6.0784 6.0784 -6.0784" Properties=species:S:1:pos:R:3 pbc="T T T"
Ca 3.0392 1.5196 0.0000
Ca 6.0784 3.0392 -1.5196
Ca 1.5196 0.0000 3.0392
Ca 7.5980 0.0000 3.0392
Ca 0.0000 3.0392 1.5196
Ca 3.0392 -1.5196 6.0784
Ca 3.0392 7.5980 0.0000
Ca 6.0784 3.0392 4.5588
Ca -1.5196 6.0784 3.0392
Ca 4.5588 6.0784 3.0392
Ca 0.0000 3.0392 7.5980
Ca 3.0392 4.5588 6.0784
Cu 0.0000 0.0000 0.0000
Cu 3.0392 3.0392 -3.0392
Cu 3.0392 -3.0392 3.0392
Cu 6.0784 0.0000 0.0000
Cu -3.0392 3.0392 3.0392
Cu 0.0000 6.0784 0.0000
Cu 0.0000 0.0000 6.0784
Cu 3.0392 3.0392 3.0392
Si 9.1176 1.5196 0.0000
Si 6.0784 -3.0392 4.5588
Si 4.5588 6.0784 -3.0392
Si 4.5588 0.0000 3.0392
Si 3.0392 4.5588 0.0000
Si 6.0784 3.0392 1.5196
Si 0.0000 3.0392 4.5588
Si 3.0392 1.5196 6.0784
Si 1.5196 6.0784 3.0392
Si 1.5196 0.0000 9.1176
Si 0.0000 9.1176 1.5196
Si -3.0392 4.5588 6.0784
O 1.8930 -0.4712 0.5918
O 7.2246 3.6310 -3.5104
O 7.9714 0.4712 0.5918
O 7.2246 -2.4474 3.5104
O 5.6072 -0.5918 1.8930
O 9.5888 -1.1462 2.4474
O 0.5918 1.8930 -0.4712
O 8.5259 2.5680 -1.1462
O 3.6310 3.5104 -1.1462
O 5.4866 1.8930 0.4712
O -0.4712 0.5918 1.8930
O 3.5104 -1.1462 3.6310
O 5.6072 5.4866 -1.8930
O 3.5104 1.1462 2.4474
O 3.6310 -3.5104 7.2246
O 5.4866 -1.8930 5.6072
O 2.4474 3.5104 1.1462
O 6.6702 4.1854 0.4712
O 3.5104 7.2246 -2.4474
O 5.6072 0.5918 4.1854
O 1.8930 5.6072 -0.5918
O 7.2246 2.4474 2.5680
O 1.1462 2.4474 3.5104
O 1.8930 0.4712 5.4866
O 4.1854 5.6072 0.5918
O 4.9322 3.6310 2.5680
O -1.1462 3.6310 3.5104
O 4.1854 0.4712 6.6702
O 0.4712 5.4866 1.8930
O 2.5680 -1.1462 8.5259
O -0.5918 1.8930 5.6072
O 3.6310 2.5680 4.9322
O 0.5918 7.9714 0.4712
O 2.4474 9.5888 -1.1462
O 2.5680 4.9322 3.6310
O 0.4712 0.5918 7.9714
O 2.5680 7.2246 2.4474
O 6.5496 5.4866 4.1854
O 0.5918 4.1854 5.6072
O 2.4474 2.5680 7.2246
O -2.4474 3.5104 7.2246
O 5.4866 4.1854 6.5496
O -3.5104 7.2246 3.6310
O 0.4712 6.6702 4.1854
O -1.1462 8.5259 2.5680
O -1.8930 5.6072 5.4866
O -1.1462 2.4474 9.5888
O 4.1854 6.5496 5.4866
```

Calculated total energy: -6.805 eV per atom

Entry from Materials Project: a relaxed CaCuSi2O6 crystal (PBE-GGA).

```
80
Lattice="5.4228 0.0000 0.0000 0.0000 19.0430 0.0000 0.0000 0.0000 9.7103" Properties=species:S:1:pos:R:3 pbc="T T T"
Ca 0.5902 2.3420 1.4216
Ca 0.5902 7.1795 6.2768
Ca 2.1212 11.8635 1.4216
Ca 2.1212 16.7010 6.2768
Ca 3.3016 2.3420 3.4335
Ca 3.3016 7.1795 8.2886
Ca 4.8326 11.8635 3.4335
Ca 4.8326 16.7010 8.2886
Cu 0.6382 2.3804 4.9817
Cu 0.6382 7.1411 0.1266
Cu 2.0732 11.9018 4.9817
Cu 2.0732 16.6626 0.1266
Cu 3.3496 2.3804 9.5836
Cu 3.3496 7.1411 4.7285
Cu 4.7846 11.9018 9.5836
Cu 4.7846 16.6626 4.7285
Si 0.3983 13.7724 6.4750
Si 0.3983 14.7920 1.6199
Si 1.3142 10.0062 8.0914
Si 1.3142 18.5582 3.2363
Si 1.3972 0.4848 8.0914
Si 1.3972 9.0367 3.2363
Si 2.3131 4.2509 6.4750
Si 2.3131 5.2705 1.6199
Si 3.1097 13.7724 8.0903
Si 3.1097 14.7920 3.2352
Si 4.0256 10.0062 6.4739
Si 4.0256 18.5582 1.6188
Si 4.1086 0.4848 6.4739
Si 4.1086 9.0367 1.6188
Si 5.0245 4.2509 8.0903
Si 5.0245 5.2705 3.2352
O 0.1706 10.3760 6.9305
O 0.1706 18.1884 2.0754
O 0.2902 13.1773 1.5556
O 0.2902 15.3871 6.4107
O 0.5215 13.0196 5.0280
O 0.5215 15.5448 0.1728
O 0.9025 3.7105 7.2034
O 0.9025 5.8109 2.3483
O 0.9503 10.8785 9.4118
O 0.9503 17.6859 4.5567
O 1.3201 1.1480 3.4183
O 1.3201 8.3735 8.2734
O 1.3913 10.6695 3.4183
O 1.3913 17.8950 8.2734
O 1.7611 1.3570 9.4118
O 1.7611 8.1644 4.5567
O 1.8089 13.2320 7.2034
O 1.8089 15.3324 2.3483
O 2.1899 3.4981 5.0280
O 2.1899 6.0234 0.1728
O 2.4213 3.6558 1.5556
O 2.4213 5.8657 6.4107
O 2.5408 0.8546 6.9305
O 2.5408 8.6669 2.0754
O 2.8820 10.3760 7.6349
O 2.8820 18.1884 2.7798
O 3.0016 13.1773 3.2995
O 3.0016 15.3871 8.1547
O 3.2329 13.0196 9.5374
O 3.2329 15.5448 4.6823
O 3.6139 3.7105 7.3619
O 3.6139 5.8109 2.5068
O 3.6617 10.8785 5.1535
O 3.6617 17.6859 0.2984
O 4.0315 1.1480 1.4368
O 4.0315 8.3735 6.2920
O 4.1027 10.6695 1.4368
O 4.1027 17.8950 6.2920
O 4.4725 1.3570 5.1535
O 4.4725 8.1644 0.2984
O 4.5203 13.2320 7.3619
O 4.5203 15.3324 2.5068
O 4.9013 3.4981 9.5374
O 4.9013 6.0234 4.6823
O 5.1327 3.6558 3.2995
O 5.1327 5.8657 8.1547
O 5.2522 0.8546 7.6349
O 5.2522 8.6669 2.7798
```

Distance to the lowest polymorph of the same formula: 0 kJ/mol of formula units
Calculated total energy: -7.057 eV per atom

Repeat the fourth record exactly.
Entry from Materials Project: a relaxed CaCuSi2O6 crystal (PBE-GGA).

```
80
Lattice="5.4228 0.0000 0.0000 0.0000 19.0430 0.0000 0.0000 0.0000 9.7103" Properties=species:S:1:pos:R:3 pbc="T T T"
Ca 0.5902 2.3420 1.4216
Ca 0.5902 7.1795 6.2768
Ca 2.1212 11.8635 1.4216
Ca 2.1212 16.7010 6.2768
Ca 3.3016 2.3420 3.4335
Ca 3.3016 7.1795 8.2886
Ca 4.8326 11.8635 3.4335
Ca 4.8326 16.7010 8.2886
Cu 0.6382 2.3804 4.9817
Cu 0.6382 7.1411 0.1266
Cu 2.0732 11.9018 4.9817
Cu 2.0732 16.6626 0.1266
Cu 3.3496 2.3804 9.5836
Cu 3.3496 7.1411 4.7285
Cu 4.7846 11.9018 9.5836
Cu 4.7846 16.6626 4.7285
Si 0.3983 13.7724 6.4750
Si 0.3983 14.7920 1.6199
Si 1.3142 10.0062 8.0914
Si 1.3142 18.5582 3.2363
Si 1.3972 0.4848 8.0914
Si 1.3972 9.0367 3.2363
Si 2.3131 4.2509 6.4750
Si 2.3131 5.2705 1.6199
Si 3.1097 13.7724 8.0903
Si 3.1097 14.7920 3.2352
Si 4.0256 10.0062 6.4739
Si 4.0256 18.5582 1.6188
Si 4.1086 0.4848 6.4739
Si 4.1086 9.0367 1.6188
Si 5.0245 4.2509 8.0903
Si 5.0245 5.2705 3.2352
O 0.1706 10.3760 6.9305
O 0.1706 18.1884 2.0754
O 0.2902 13.1773 1.5556
O 0.2902 15.3871 6.4107
O 0.5215 13.0196 5.0280
O 0.5215 15.5448 0.1728
O 0.9025 3.7105 7.2034
O 0.9025 5.8109 2.3483
O 0.9503 10.8785 9.4118
O 0.9503 17.6859 4.5567
O 1.3201 1.1480 3.4183
O 1.3201 8.3735 8.2734
O 1.3913 10.6695 3.4183
O 1.3913 17.8950 8.2734
O 1.7611 1.3570 9.4118
O 1.7611 8.1644 4.5567
O 1.8089 13.2320 7.2034
O 1.8089 15.3324 2.3483
O 2.1899 3.4981 5.0280
O 2.1899 6.0234 0.1728
O 2.4213 3.6558 1.5556
O 2.4213 5.8657 6.4107
O 2.5408 0.8546 6.9305
O 2.5408 8.6669 2.0754
O 2.8820 10.3760 7.6349
O 2.8820 18.1884 2.7798
O 3.0016 13.1773 3.2995
O 3.0016 15.3871 8.1547
O 3.2329 13.0196 9.5374
O 3.2329 15.5448 4.6823
O 3.6139 3.7105 7.3619
O 3.6139 5.8109 2.5068
O 3.6617 10.8785 5.1535
O 3.6617 17.6859 0.2984
O 4.0315 1.1480 1.4368
O 4.0315 8.3735 6.2920
O 4.1027 10.6695 1.4368
O 4.1027 17.8950 6.2920
O 4.4725 1.3570 5.1535
O 4.4725 8.1644 0.2984
O 4.5203 13.2320 7.3619
O 4.5203 15.3324 2.5068
O 4.9013 3.4981 9.5374
O 4.9013 6.0234 4.6823
O 5.1327 3.6558 3.2995
O 5.1327 5.8657 8.1547
O 5.2522 0.8546 7.6349
O 5.2522 8.6669 2.7798
```

Distance to the lowest polymorph of the same formula: 0 kJ/mol of formula units
Calculated total energy: -7.057 eV per atom